# 1
{
  "formula": "BaV6O11",
  "functional": "PBE+U",
  "state": "optimized geometry",
  "magmom_total_mub_per_fu": 10.000,
  "relative_energy_ev_per_atom": 0.000,
  "formation_enthalpy_0k_ev_per_atom": -2.635,
  "spacegroup": "Cmcm",
  "dft_energy_ev_per_atom": -7.8071,
  "lattice_angstrom": [[2.964, -5.169, 0.000], [2.964, 5.169, 0.000], [0.000, 0.000, 13.542]],
  "species": ["Ba", "Ba", "V", "V", "V", "V", "V", "V", "V", "V", "V", "V", "V", "V", "O", "O", "O", "O", "O", "O", "O", "O", "O", "O", "O", "O", "O", "O", "O", "O", "O", "O", "O", "O", "O", "O"],
  "frac_coords": [[0.670, 0.330, 0.750], [0.330, 0.670, 0.250], [0.666, 0.334, 0.250], [0.334, 0.666, 0.750], [0.004, 0.996, 0.647], [0.996, 0.004, 0.147], [0.004, 0.996, 0.853], [0.996, 0.004, 0.353], [0.500, 0.000, 0.000], [0.500, 0.500, 0.500], [0.000, 0.500, 0.500], [0.000, 0.500, 0.000], [0.500, 0.500, 0.000], [0.500, 0.000, 0.500], [0.673, 0.327, 0.084], [0.327, 0.673, 0.584], [0.673, 0.327, 0.416], [0.327, 0.673, 0.916], [0.850, 0.707, 0.250], [0.152, 0.848, 0.750], [0.707, 0.850, 0.750], [0.293, 0.150, 0.250], [0.848, 0.152, 0.250], [0.150, 0.293, 0.750], [0.833, 0.651, 0.577], [0.175, 0.825, 0.076], [0.651, 0.833, 0.077], [0.349, 0.167, 0.577], [0.167, 0.349, 0.423], [0.825, 0.175, 0.924], [0.349, 0.167, 0.923], [0.651, 0.833, 0.423], [0.175, 0.825, 0.424], [0.833, 0.651, 0.923], [0.167, 0.349, 0.077], [0.825, 0.175, 0.576]]
}


# 2
{
  "formula": "CaMn2P4O14",
  "functional": "PBE+U",
  "state": "optimized geometry",
  "magmom_total_mub_per_fu": 8.001,
  "relative_energy_ev_per_atom": 0.018,
  "formation_enthalpy_0k_ev_per_atom": -2.635,
  "spacegroup": "P1",
  "dft_energy_ev_per_atom": -7.3156,
  "lattice_angstrom": [[5.150, 0.083, -0.370], [-1.690, 5.999, 0.035], [-1.490, -3.503, 9.270]],
  "species": ["Ca", "Mn", "Mn", "P", "P", "P", "P", "O", "O", "O", "O", "O", "O", "O", "O", "O", "O", "O", "O", "O", "O"],
  "frac_coords": [[0.205, 0.758, 0.028], [0.083, 0.603, 0.367], [0.905, 0.388, 0.631], [0.241, 0.152, 0.392], [0.598, 0.677, 0.846], [0.408, 0.324, 0.151], [0.744, 0.846, 0.615], [0.050, 0.896, 0.350], [0.067, 0.320, 0.424], [0.275, 0.554, 0.784], [0.267, 0.515, 0.177], [0.307, 0.136, 0.000], [0.468, 0.760, 0.491], [0.677, 0.863, 0.764], [0.310, 0.149, 0.244], [0.512, 0.234, 0.517], [0.674, 0.815, 0.009], [0.779, 0.519, 0.820], [0.731, 0.428, 0.217], [0.914, 0.675, 0.582], [0.938, 0.095, 0.642]]
}


# 3
{
  "formula": "LiV3OF11",
  "functional": "PBE+U",
  "state": "optimized geometry",
  "magmom_total_mub_per_fu": 3.000,
  "relative_energy_ev_per_atom": 0.025,
  "formation_enthalpy_0k_ev_per_atom": -2.954,
  "spacegroup": "P-1",
  "dft_energy_ev_per_atom": -5.7232,
  "lattice_angstrom": [[2.802, -0.296, -4.418], [-3.089, -4.192, -1.586], [-8.107, 11.700, -5.950]],
  "species": ["Li", "Li", "V", "V", "V", "V", "V", "V", "O", "O", "F", "F", "F", "F", "F", "F", "F", "F", "F", "F", "F", "F", "F", "F", "F", "F", "F", "F", "F", "F", "F", "F"],
  "frac_coords": [[0.968, 0.701, 0.734], [0.032, 0.299, 0.266], [0.014, 0.193, 0.838], [0.500, 0.000, 0.500], [0.519, 0.339, 0.163], [0.986, 0.807, 0.162], [0.481, 0.661, 0.837], [0.000, 0.500, 0.500], [0.188, 0.465, 0.808], [0.812, 0.535, 0.192], [0.306, 0.621, 0.141], [0.694, 0.379, 0.859], [0.078, 0.930, 0.278], [0.415, 0.067, 0.613], [0.086, 0.225, 0.950], [0.585, 0.933, 0.387], [0.573, 0.249, 0.049], [0.922, 0.070, 0.722], [0.196, 0.785, 0.476], [0.298, 0.946, 0.809], [0.193, 0.121, 0.146], [0.700, 0.710, 0.524], [0.807, 0.879, 0.854], [0.389, 0.406, 0.276], [0.090, 0.575, 0.615], [0.427, 0.751, 0.951], [0.914, 0.775, 0.050], [0.910, 0.425, 0.385], [0.611, 0.594, 0.724], [0.300, 0.290, 0.476], [0.702, 0.054, 0.191], [0.804, 0.215, 0.524]]
}